(1)
PBE CoC4N2Cl4, relaxed; space-group type = P2_1/c, No. 14; crystal system = monoclinic
1.0
-2.599 -11.034 4.495
-2.668 -2.143 -6.803
13.593 -4.986 -4.378
Co C N Cl
4 16 8 16
Direct
0.794 0.820 0.583 Co
0.294 0.180 0.917 Co
0.206 0.180 0.417 Co
0.706 0.820 0.083 Co
0.953 0.229 0.772 C
0.453 0.771 0.728 C
0.047 0.771 0.228 C
0.547 0.229 0.272 C
0.599 0.228 0.342 C
0.099 0.772 0.158 C
0.401 0.772 0.658 C
0.901 0.228 0.842 C
0.029 0.294 0.623 C
0.529 0.706 0.877 C
0.971 0.706 0.377 C
0.471 0.294 0.123 C
0.726 0.294 0.464 C
0.226 0.706 0.036 C
0.274 0.706 0.536 C
0.774 0.294 0.964 C
0.998 0.252 0.695 N
0.498 0.748 0.805 N
0.002 0.748 0.305 N
0.502 0.252 0.195 N
0.661 0.251 0.409 N
0.161 0.749 0.091 N
0.339 0.749 0.591 N
0.839 0.251 0.909 N
0.968 0.825 0.588 Cl
0.468 0.175 0.912 Cl
0.032 0.175 0.412 Cl
0.532 0.825 0.088 Cl
0.730 0.050 0.642 Cl
0.230 0.950 0.858 Cl
0.270 0.950 0.358 Cl
0.770 0.050 0.142 Cl
0.737 0.810 0.449 Cl
0.237 0.190 0.051 Cl
0.263 0.190 0.551 Cl
0.763 0.810 0.949 Cl
0.740 0.593 0.657 Cl
0.240 0.407 0.843 Cl
0.260 0.407 0.343 Cl
0.760 0.593 0.157 Cl



(2)
PBE MnPPd, relaxed; space-group type = P-62m, No. 189; crystal system = hexagonal
1.0
1.884 5.859 -1.774
-3.670 -3.504 -3.908
-2.980 1.420 1.525
Mn P Pd
3 3 3
Direct
0.595 0.000 0.000 Mn
0.000 0.595 0.000 Mn
0.405 0.405 0.000 Mn
0.333 0.667 0.500 P
0.667 0.333 0.500 P
0.000 0.000 0.000 P
0.264 0.000 0.500 Pd
0.000 0.264 0.500 Pd
0.736 0.736 0.500 Pd



(3)
PBE CaAc3, relaxed; space-group type = P6_3/mmc, No. 194; crystal system = hexagonal
1.0
4.000 -6.927 0.000
4.000 6.927 0.000
0.000 0.000 6.422
Ca Ac
2 6
Direct
0.333 0.667 0.750 Ca
0.667 0.333 0.250 Ca
0.167 0.334 0.250 Ac
0.666 0.833 0.250 Ac
0.167 0.833 0.250 Ac
0.833 0.666 0.750 Ac
0.334 0.167 0.750 Ac
0.833 0.167 0.750 Ac



no.,ΔE_f (meV per atom)
1,335.1
2,-366.1
3,59.3